(1)
Below is a relaxed structure of GaFe19N5, with properties calculated at the PBE level.

Summary:
- SG: P4/m
- DFT total energy: -8.028 eV per atom

Cell: 8.3603 8.3603 3.7950 Å, 90.00 90.00 90.00°
Closest atoms and distances in Å follow each position.
Fractional positions:
Fe 0.5000 0.0000 0.5000  2 N 1.88
Fe 0.6993 0.3958 0.5000  2 N 1.87-1.88
Fe 0.7046 0.9015 0.0000  2 N 1.90
Fe 0.5000 0.5000 0.0000  2 N 1.90
Fe 0.2954 0.0985 0.0000  2 N 1.90
Fe 0.3007 0.6042 0.5000  2 N 1.87-1.88
Fe 0.6042 0.6993 0.5000  2 N 1.87-1.88
Fe 0.0995 0.1993 0.5000  2 N 1.86-1.87
Fe 0.8007 0.0995 0.5000  2 N 1.86-1.87
Fe 0.6000 0.1987 0.0000  12 Fe 2.63-2.69
N 0.0992 0.7012 0.5000  6 Fe 1.86-1.90
Fe 0.3958 0.3007 0.5000  2 N 1.87-1.88
N 0.7012 0.9008 0.5000  6 Fe 1.86-1.90
N 0.9008 0.2988 0.5000  6 Fe 1.86-1.90
Fe 0.1993 0.9005 0.5000  2 N 1.86-1.87
Fe 0.9015 0.2954 0.0000  2 N 1.90
Ga 0.0000 0.0000 0.0000  12 Fe 2.60-2.66
N 0.5000 0.5000 0.5000  6 Fe 1.88-1.90
Fe 0.1987 0.4000 0.0000  12 Fe 2.63-2.69
Fe 0.9005 0.8007 0.5000  2 N 1.86-1.87
N 0.2988 0.0992 0.5000  6 Fe 1.86-1.90
Fe 0.4000 0.8013 0.0000  12 Fe 2.63-2.69
Fe 0.0000 0.5000 0.5000  2 N 1.88
Fe 0.0985 0.7046 0.0000  2 N 1.90
Fe 0.8013 0.6000 0.0000  12 Fe 2.63-2.69


(2)
Below is a relaxed structure of Ga2FeN3, with properties calculated at the PBE level.

Summary:
- SG: Cmc2_1
- DFT total energy: -6.711 eV per atom

Cell: 5.5879 5.5824 5.2348 Å, 90.00 90.00 119.97°
Closest atoms and distances in Å follow each position.
Fractional positions:
Ga 0.6666 0.6726 0.9948  4 N 1.96-1.97
N 0.0000 0.3200 0.3697  2 Ga 1.96, 2 Fe 1.99-2.01
N 0.3366 0.3394 0.8708  3 Ga 1.96-1.97, 1 Fe 1.98
Fe 0.0000 0.3401 0.9871  4 N 1.98-2.01
N 0.0000 0.6800 0.8697  2 Ga 1.96, 2 Fe 1.99-2.01
N 0.6634 0.0028 0.8708  3 Ga 1.96-1.97, 1 Fe 1.98
Fe 0.0000 0.6599 0.4871  4 N 1.98-2.01
N 0.6634 0.6606 0.3708  3 Ga 1.96-1.97, 1 Fe 1.98
N 0.3366 0.9972 0.3708  3 Ga 1.96-1.97, 1 Fe 1.98
Ga 0.3334 0.3273 0.4948  4 N 1.96-1.97
Ga 0.3334 0.0061 0.9948  4 N 1.96-1.97
Ga 0.6666 0.9939 0.4948  4 N 1.96-1.97


(3)
Below is a relaxed structure of Nd6GaFe13, with properties calculated at the PBE level.

Summary:
- SG: I4/mcm
- DFT total energy: -7.133 eV per atom

Cell: 8.1353 8.1353 13.1680 Å, 107.99 107.99 90.00°
Closest atoms and distances in Å follow each position.
Fractional positions:
Nd 0.5209 0.3513 0.3723  4 Fe 3.03-3.38, 2 Ga 3.39
Fe 0.2890 0.4331 0.0000  10 Fe 2.41-2.66
Fe 0.9331 0.7890 0.0000  10 Fe 2.41-2.66
Fe 0.5669 0.2890 0.0000  10 Fe 2.41-2.66
Nd 0.4791 0.6487 0.6277  4 Fe 3.03-3.38, 2 Ga 3.39
Nd 0.1055 0.1055 0.2111  12 Fe 3.08-3.30, 1 Ga 3.42
Fe 0.7366 0.8800 0.1166  9 Fe 2.47-2.76
Ga 0.7500 0.7500 0.5000  10 Nd 3.39-3.42
Fe 0.8800 0.3800 0.1166  9 Fe 2.47-2.76
Fe 0.3800 0.2366 0.1166  9 Fe 2.47-2.76
Fe 0.9814 0.7053 0.1867  7 Fe 2.55-2.66
Fe 0.2053 0.4814 0.1867  7 Fe 2.55-2.66
Fe 0.2366 0.7366 0.1166  9 Fe 2.47-2.76
Nd 0.1487 0.9791 0.6277  4 Fe 3.03-3.38, 2 Ga 3.39
Nd 0.3945 0.3945 0.7889  12 Fe 3.08-3.30, 1 Ga 3.42
Fe 0.1200 0.6200 0.8834  9 Fe 2.47-2.76
Nd 0.6055 0.6055 0.2111  12 Fe 3.08-3.30, 1 Ga 3.42
Fe 0.4331 0.7110 0.0000  10 Fe 2.41-2.66
Fe 0.7110 0.5669 0.0000  10 Fe 2.41-2.66
Nd 0.0209 0.5209 0.3723  4 Fe 3.03-3.38, 2 Ga 3.39
Nd 0.6487 0.1487 0.6277  4 Fe 3.03-3.38, 2 Ga 3.39
Fe 0.7890 0.0669 0.0000  10 Fe 2.41-2.66
Fe 0.7053 0.2053 0.1867  7 Fe 2.55-2.66
Nd 0.8945 0.8945 0.7889  12 Fe 3.08-3.30, 1 Ga 3.42
Fe 0.2947 0.7947 0.8133  7 Fe 2.55-2.66
Nd 0.3513 0.8513 0.3723  4 Fe 3.03-3.38, 2 Ga 3.39
Nd 0.8513 0.0209 0.3723  4 Fe 3.03-3.38, 2 Ga 3.39
Fe 0.5000 0.0000 0.0000  12 Fe 2.41-2.56
Fe 0.2634 0.1200 0.8834  9 Fe 2.47-2.76
Ga 0.2500 0.2500 0.5000  10 Nd 3.39-3.42
Fe 0.5186 0.0186 0.8133  7 Fe 2.55-2.66
Fe 0.7947 0.5186 0.8133  7 Fe 2.55-2.66
Fe 0.0186 0.2947 0.8133  7 Fe 2.55-2.66
Fe 0.2110 0.9331 0.0000  10 Fe 2.41-2.66
Fe 0.7634 0.2634 0.8834  9 Fe 2.47-2.76
Fe 0.0000 0.5000 0.0000  12 Fe 2.41-2.56
Fe 0.6200 0.7634 0.8834  9 Fe 2.47-2.76
Fe 0.4814 0.9814 0.1867  7 Fe 2.55-2.66
Nd 0.9791 0.4791 0.6277  4 Fe 3.03-3.38, 2 Ga 3.39
Fe 0.0669 0.2110 0.0000  10 Fe 2.41-2.66


(4)
Below is a relaxed structure of NdGa8Fe2, with properties calculated at the PBE level.

Summary:
- SG: Pbam
- DFT total energy: -4.501 eV per atom

Cell: 4.0433 12.6893 14.3642 Å, 90.00 90.00 90.00°
Closest atoms and distances in Å follow each position.
Fractional positions:
Ga 0.0000 0.3357 0.0461  3 Fe 2.46-2.61
Fe 0.0000 0.8490 0.9027  9 Ga 2.37-2.63
Ga 0.5000 0.3314 0.4894  2 Fe 2.56, 3 Ga 2.66-2.78
Ga 0.5000 0.1686 0.9894  2 Fe 2.56, 3 Ga 2.66-2.78
Ga 0.5000 0.6686 0.5106  2 Fe 2.56, 3 Ga 2.66-2.78
Fe 0.0000 0.1510 0.0973  9 Ga 2.37-2.63
Ga 0.5000 0.9746 0.8663  2 Fe 2.63, 7 Ga 2.76-2.83
Ga 0.5000 0.4507 0.1806  2 Fe 2.62, 6 Ga 2.67-2.90
Ga 0.5000 0.6631 0.1210  2 Fe 2.63, 5 Ga 2.66-2.83
Fe 0.0000 0.4655 0.9088  7 Ga 2.35-2.62
Fe 0.0000 0.5345 0.0912  7 Ga 2.35-2.62
Ga 0.5000 0.5493 0.8194  2 Fe 2.62, 6 Ga 2.67-2.90
Ga 0.5000 0.0000 0.5000  4 Fe 2.45, 4 Ga 2.67-2.70
Ga 0.5000 0.0493 0.6806  2 Fe 2.62, 6 Ga 2.67-2.90
Ga 0.0000 0.8357 0.4539  3 Fe 2.46-2.61
Ga 0.5000 0.5254 0.3663  2 Fe 2.63, 7 Ga 2.76-2.83
Ga 0.5000 0.8369 0.6210  2 Fe 2.63, 5 Ga 2.66-2.83
Ga 0.5000 0.8314 0.0106  2 Fe 2.56, 3 Ga 2.66-2.78
Ga 0.0000 0.1643 0.5461  3 Fe 2.46-2.61
Ga 0.5000 0.4746 0.6337  2 Fe 2.63, 7 Ga 2.76-2.83
Ga 0.0000 0.4022 0.7551  2 Fe 2.35-2.37
Ga 0.0000 0.5000 0.5000  2 Fe 2.37
Ga 0.5000 0.2387 0.1729  2 Fe 2.55, 3 Ga 2.69-2.78
Ga 0.0000 0.5978 0.2449  2 Fe 2.35-2.37
Fe 0.0000 0.0345 0.4088  7 Ga 2.35-2.62
Nd 0.0000 0.6573 0.6813  13 Ga 3.15-3.41
Nd 0.0000 0.1573 0.8187  13 Ga 3.15-3.41
Ga 0.5000 0.7387 0.3271  2 Fe 2.55, 3 Ga 2.69-2.78
Fe 0.0000 0.9655 0.5912  7 Ga 2.35-2.62
Ga 0.0000 0.0978 0.2551  2 Fe 2.35-2.37
Ga 0.5000 0.2613 0.6729  2 Fe 2.55, 3 Ga 2.69-2.78
Ga 0.5000 0.7613 0.8271  2 Fe 2.55, 3 Ga 2.69-2.78
Ga 0.0000 0.0000 0.0000  2 Fe 2.37
Nd 0.0000 0.3427 0.3187  13 Ga 3.15-3.41
Fe 0.0000 0.6510 0.4027  9 Ga 2.37-2.63
Ga 0.0000 0.9022 0.7449  2 Fe 2.35-2.37
Fe 0.0000 0.3490 0.5973  9 Ga 2.37-2.63
Ga 0.5000 0.9507 0.3194  2 Fe 2.62, 6 Ga 2.67-2.90
Ga 0.5000 0.1631 0.3790  2 Fe 2.63, 5 Ga 2.66-2.83
Ga 0.0000 0.6643 0.9539  3 Fe 2.46-2.61
Ga 0.5000 0.0254 0.1337  2 Fe 2.63, 7 Ga 2.76-2.83
Nd 0.0000 0.8427 0.1813  13 Ga 3.15-3.41
Ga 0.5000 0.5000 0.0000  4 Fe 2.45, 4 Ga 2.67-2.70
Ga 0.5000 0.3369 0.8790  2 Fe 2.63, 5 Ga 2.66-2.83


Number 1: ρ 7.517 g/cm3, ΔH_f (0 K) 125.5 meV per atom, total magnetic moment 0.095 μB/f.u.. Number 2: ρ 5.571 g/cm3, ΔH_f (0 K) -301.8 meV per atom, total magnetic moment 4.921 μB/f.u.. Number 3: ρ 7.037 g/cm3, ΔH_f (0 K) -45.5 meV per atom, total magnetic moment 26.653 μB/f.u.. Number 4: ρ 7.334 g/cm3, ΔH_f (0 K) -325.3 meV per atom, total magnetic moment 0.783 μB/f.u..